# 1
Li3Fe4S6 | GGA-PBE | relaxed

It has space group C2/m (No. 12), with a = 6.433 Å, b = 11.195 Å, c = 6.214 Å, α = 90.00°, β = 90.20° and γ = 90.00°. The inequivalent atoms are Li at (0.000, 0.000, 0.000), Li at (0.000, 0.352, 0.000), Fe at (0.171, 0.165, 0.613), S at (0.157, 0.174, 0.257) and S at (0.186, 0.500, 0.238).

The total magnetization comes out at 0.846 μB/atom. As for the energy of formation from the pure elements: -833 meV per atom. The value obtained for the energy is -144.48 eV/cell.

# 2
CaMn4N4 | GGA-PBE | relaxed

It has space group Pa-3 (No. 205), with a = 10.630 Å, b = 10.630 Å, c = 10.630 Å, α = 90.00°, β = 90.00° and γ = 90.00°. The inequivalent atoms are Ca at (0.000, 0.000, 0.000), Ca at (0.218, 0.718, 0.782), Mn at (0.019, 0.137, 0.259), Mn at (0.034, 0.105, 0.724), N at (0.010, 0.750, 0.382) and N at (0.042, 0.224, 0.868).

The total magnetization comes out at 0.233 μB/atom. As for the energy of formation from the pure elements: -590 meV per atom. The value obtained for the energy is -910.43 eV/cell.

Repeat the second record exactly.
CaMn4N4 | GGA-PBE | relaxed

It has space group Pa-3 (No. 205), with a = 10.630 Å, b = 10.630 Å, c = 10.630 Å, α = 90.00°, β = 90.00° and γ = 90.00°. The inequivalent atoms are Ca at (0.000, 0.000, 0.000), Ca at (0.218, 0.718, 0.782), Mn at (0.019, 0.137, 0.259), Mn at (0.034, 0.105, 0.724), N at (0.010, 0.750, 0.382) and N at (0.042, 0.224, 0.868).

The total magnetization comes out at 0.233 μB/atom. As for the energy of formation from the pure elements: -590 meV per atom. The value obtained for the energy is -910.43 eV/cell.

Copy entry 2 word for word.
CaMn4N4 | GGA-PBE | relaxed

It has space group Pa-3 (No. 205), with a = 10.630 Å, b = 10.630 Å, c = 10.630 Å, α = 90.00°, β = 90.00° and γ = 90.00°. The inequivalent atoms are Ca at (0.000, 0.000, 0.000), Ca at (0.218, 0.718, 0.782), Mn at (0.019, 0.137, 0.259), Mn at (0.034, 0.105, 0.724), N at (0.010, 0.750, 0.382) and N at (0.042, 0.224, 0.868).

The total magnetization comes out at 0.233 μB/atom. As for the energy of formation from the pure elements: -590 meV per atom. The value obtained for the energy is -910.43 eV/cell.

> Among the records above, which one has the lowest total magnetization?

CaMn4N4

> Which of these has the highest energy?

Li3Fe4S6